An optimized crystal structure of Li9Mn2Co5O16, computed with PBE+U.

Calculated values
The calculated total energy comes out at -5.7798 eV/atom. The energy of formation from the pure elements is -1.79 eV per atom. As for the corrected total energy (MP2020 scheme): -6.483 eV per atom.

Cell: 3.0167 6.4213 15.4952 Å, 88.72 85.88 76.65°
With the nearest neighbours (Å) after each atom.
Element x y z (fractional)
Li: 0.9264 0.1357 0.8118  6 O 2.01-2.24
Li: 0.1906 0.6215 0.5644  6 O 2.03-2.24
Li: 0.4394 0.1245 0.3140  5 O 2.05-2.20
Li: 0.5575 0.8781 0.6839  6 O 2.04-2.22
Li: 0.8212 0.3705 0.4376  6 O 2.04-2.23
Li: 0.0628 0.8732 0.1888  6 O 2.08-2.21
Li: 0.6912 0.6221 0.0627  6 O 2.06-2.21
Li: 0.3086 0.3747 0.9369  5 O 2.07-2.21
Li: 0.8768 0.2488 0.6240  6 O 2.01-2.25
Mn: 0.0092 0.0007 0.0010  4 O 1.95-1.97
Mn: 0.6248 0.7462 0.8720  4 O 1.92-1.98
Co: 0.2477 0.4895 0.7427  2 O 1.74-1.89
Co: 0.5026 0.0075 0.5040  3 O 1.75-1.94
Co: 0.7410 0.5015 0.2529  4 O 1.91-1.94
Co: 0.1217 0.7527 0.3756  4 O 1.89-1.93
Co: 0.3708 0.2542 0.1285  6 O 1.91-2.12
O: 0.4494 0.0472 0.9064  2 Mn 1.96-1.97, 2 Li 2.10-2.14
O: 0.6990 0.5557 0.6631  2 Co 1.89-2.09, 2 Li 2.01-2.04
O: 0.9549 0.0425 0.4101  2 Co 1.89-1.97, 1 Li 2.10
O: 0.0813 0.7872 0.7798  1 Co 1.95, 1 Mn 1.97, 1 Li 2.16
O: 0.3567 0.2822 0.5242  1 Co 1.75
O: 0.5736 0.7960 0.2866  2 Co 1.92-1.93, 1 Li 2.10
O: 0.1860 0.5477 0.1620  2 Co 1.91-1.94, 1 Li 2.08
O: 0.8736 0.2991 0.0361  1 Mn 1.95, 2 Li 2.06-2.07, 2 Co 2.08-2.12
O: 0.3978 0.2161 0.7229  1 Co 1.74
O: 0.6713 0.7127 0.4652  2 Co 1.93-1.94
O: 0.8688 0.2084 0.2177  3 Co 1.92-2.08, 2 Li 2.05-2.14
O: 0.0588 0.9415 0.5842  1 Co 1.87, 2 Li 2.02-2.03
O: 0.2931 0.4590 0.3412  2 Co 1.91, 1 Li 2.14
O: 0.5622 0.9554 0.0946  1 Co 1.94, 1 Mn 1.97, 3 Li 2.15-2.17
O: 0.1829 0.6974 0.9665  2 Mn 1.97-1.98, 3 Li 2.07-2.18
O: 0.7984 0.4505 0.8385  1 Mn 1.92, 1 Co 1.99, 1 Li 2.01